An optimized crystal structure of HfV2H4, computed with GGA-PBE.

Structure (CIF):
```
data_HfV2H4
_chemical_formula_sum 'Hf4 V8 H16'
_space_group_name_H-M_alt 'I 41/a'
_space_group_IT_number 88
_cell_length_a 5.399
_cell_length_b 5.399
_cell_length_c 7.895
_cell_angle_alpha 90.00
_cell_angle_beta 90.00
_cell_angle_gamma 90.00
loop_
_space_group_symop_operation_xyz
'x,y,z'
'-x,-y,-z'
'-y+3/4,x+1/4,z+1/4'
'y+3/4,-x+1/4,-z+1/4'
'-x+1/2,-y,z+1/2'
'x+1/2,y,-z+1/2'
'y+3/4,-x+3/4,z+3/4'
'-y+3/4,x+3/4,-z+3/4'
'x+1/2,y+1/2,z+1/2'
'-x+1/2,-y+1/2,-z+1/2'
'-y+1/4,x+3/4,z+3/4'
'y+1/4,-x+3/4,-z+3/4'
'-x,-y+1/2,z'
'x,y+1/2,-z'
'y+1/4,-x+1/4,z+1/4'
'-y+1/4,x+1/4,-z+1/4'
loop_
_atom_site_label
_atom_site_type_symbol
_atom_site_fract_x
_atom_site_fract_y
_atom_site_fract_z
Hf1 Hf 0.000 0.250 0.125
V1 V 0.000 0.000 0.500
H1 H 0.181 0.068 0.314
```

- Final energy: -6.26 eV per atom